## Mn12O17F7 (PBE with a Hubbard U)

Data for Mn12O17F7 after structural relaxation.

Unit cell a=4.570 b=5.578 c=15.106 alpha=90.02 beta=91.18 gamma=90.79
Space group P1 (No. 1)
Unique sites:
Mn (0.000, 0.000, 0.000)
Mn (0.000, 0.005, 0.331)
Mn (0.005, 0.672, 0.166)
Mn (0.009, 0.672, 0.833)
Mn (0.025, 0.993, 0.661)
Mn (0.466, 0.201, 0.828)
Mn (0.470, 0.483, 0.652)
Mn (0.475, 0.473, 0.322)
Mn (0.478, 0.203, 0.156)
Mn (0.478, 0.203, 0.488)
Mn (0.478, 0.476, 0.990)
Mn (0.998, 0.672, 0.494)
O (0.206, 0.727, 0.604)
O (0.211, 0.951, 0.440)
O (0.212, 0.728, 0.276)
O (0.213, 0.727, 0.945)
O (0.213, 0.949, 0.110)
O (0.222, 0.944, 0.778)
O (0.253, 0.238, 0.931)
O (0.257, 0.239, 0.261)
O (0.259, 0.431, 0.762)
O (0.259, 0.437, 0.428)
O (0.260, 0.437, 0.096)
O (0.261, 0.232, 0.595)
O (0.704, 0.454, 0.883)
O (0.709, 0.224, 0.050)
O (0.709, 0.226, 0.382)
O (0.710, 0.453, 0.216)
O (0.711, 0.450, 0.549)
F (0.723, 0.208, 0.719)
F (0.732, 0.964, 0.550)
F (0.734, 0.712, 0.384)
F (0.739, 0.710, 0.054)
F (0.739, 0.967, 0.219)
F (0.741, 0.966, 0.887)
F (0.748, 0.711, 0.717)

Summary:
Total energy after the MP2020 corrections, eV/cell: -282.0
Energy relative to the elements, eV per atom: -2.071